# CaCo2N2

A relaxed CaCo2N2 crystal (PBE, the Materials Project database).

Properties
MP2020-corrected energy: -6.67 eV per atom
crystal system: tetragonal
SG: P-4m2, No. 115
energy of formation: -0.088 eV per atom
total magnetization: 1.0 Bohr magnetons per cell

abc: 3.4614 3.4614 6.0485
angles: 90.00 90.00 90.00
With the nearest neighbours (Å) after each atom.
Atoms (fractional coordinates):
Ca  0.0000  0.0000  0.0000  4 N 2.43
Co  0.5000  0.5000  0.3005  2 N 1.73
Co  0.5000  0.5000  0.6995  2 N 1.73
N  0.0000  0.5000  0.7169  2 Co 1.73
N  0.5000  0.0000  0.2831  2 Co 1.73

# Ca5CoN4

A relaxed Ca5CoN4 crystal (PBE, the Materials Project database).

Properties
MP2020-corrected energy: -5.64 eV per atom
crystal system: orthorhombic
SG: Pmmn, No. 59
energy of formation: -0.587 eV per atom
total magnetization: 6.0 Bohr magnetons per cell

abc: 7.3881 7.8463 5.8949
angles: 90.00 90.00 90.00
With the nearest neighbours (Å) after each atom.
Atoms (fractional coordinates):
Ca  0.0052  0.0491  0.2455  4 N 2.37-2.53
Ca  0.0052  0.4509  0.2455  4 N 2.37-2.53
Ca  0.2500  0.2500  0.6942  4 N 2.36-2.38
Ca  0.4948  0.0491  0.2455  4 N 2.37-2.53
Ca  0.4948  0.4509  0.2455  4 N 2.37-2.53
Ca  0.5052  0.5491  0.7545  4 N 2.37-2.53
Ca  0.5052  0.9509  0.7545  4 N 2.37-2.53
Ca  0.7500  0.7500  0.3058  4 N 2.36-2.38
Ca  0.9948  0.5491  0.7545  4 N 2.37-2.53
Ca  0.9948  0.9509  0.7545  4 N 2.37-2.53
Co  0.2500  0.7500  0.2733  2 N 2.01
Co  0.7500  0.2500  0.7267  2 N 2.01
N  0.0218  0.7500  0.0876  1 Co 2.01
N  0.2500  0.5106  0.4927  1 Co 2.28, 5 Ca 2.36-2.45
N  0.2500  0.9894  0.4927  1 Co 2.28, 5 Ca 2.36-2.45
N  0.4782  0.7500  0.0876  1 Co 2.01
N  0.5218  0.2500  0.9124  1 Co 2.01
N  0.7500  0.0106  0.5073  1 Co 2.28, 5 Ca 2.36-2.45
N  0.7500  0.4894  0.5073  1 Co 2.28, 5 Ca 2.36-2.45
N  0.9782  0.2500  0.9124  1 Co 2.01

# Ca7CoN6

A relaxed Ca7CoN6 crystal (PBE, the Materials Project database).

Properties
MP2020-corrected energy: -5.89 eV per atom
crystal system: orthorhombic
SG: Pbcn, No. 60
energy of formation: -0.803 eV per atom
total magnetization: 4.0 Bohr magnetons per cell

abc: 10.8561 6.2444 12.9259
angles: 90.00 90.00 90.00
With the nearest neighbours (Å) after each atom.
Atoms (fractional coordinates):
Ca  0.0000  0.0545  0.2500  4 N 2.45-2.52
Ca  0.0000  0.9455  0.7500  4 N 2.45-2.52
Ca  0.0391  0.2302  0.5227  4 N 2.40-2.60
Ca  0.0391  0.7698  0.0227  4 N 2.40-2.60
Ca  0.2026  0.3882  0.1236  4 N 2.33-2.60
Ca  0.2026  0.6118  0.6236  4 N 2.33-2.60
Ca  0.2261  0.3585  0.8743  4 N 2.39-2.50
Ca  0.2261  0.6415  0.3743  4 N 2.39-2.50
Ca  0.2739  0.1415  0.3743  4 N 2.39-2.50
Ca  0.2739  0.8585  0.8743  4 N 2.39-2.50
Ca  0.2974  0.1118  0.6236  4 N 2.33-2.60
Ca  0.2974  0.8882  0.1236  4 N 2.33-2.60
Ca  0.4609  0.2698  0.0227  4 N 2.40-2.60
Ca  0.4609  0.7302  0.5227  4 N 2.40-2.60
Ca  0.5000  0.4455  0.7500  4 N 2.45-2.52
Ca  0.5000  0.5545  0.2500  4 N 2.45-2.52
Ca  0.5391  0.2698  0.4773  4 N 2.40-2.60
Ca  0.5391  0.7302  0.9773  4 N 2.40-2.60
Ca  0.7026  0.1118  0.8764  4 N 2.33-2.60
Ca  0.7026  0.8882  0.3764  4 N 2.33-2.60
Ca  0.7261  0.1415  0.1257  4 N 2.39-2.50
Ca  0.7261  0.8585  0.6257  4 N 2.39-2.50
Ca  0.7739  0.3585  0.6257  4 N 2.39-2.50
Ca  0.7739  0.6415  0.1257  4 N 2.39-2.50
Ca  0.7974  0.3882  0.3764  4 N 2.33-2.60
Ca  0.7974  0.6118  0.8764  4 N 2.33-2.60
Ca  0.9609  0.2302  0.9773  4 N 2.40-2.60
Ca  0.9609  0.7698  0.4773  4 N 2.40-2.60
Co  0.0000  0.4352  0.7500  4 N 1.83-1.85
Co  0.0000  0.5648  0.2500  4 N 1.83-1.85
Co  0.5000  0.0648  0.2500  4 N 1.83-1.85
Co  0.5000  0.9352  0.7500  4 N 1.83-1.85
N  0.0508  0.3857  0.3535  1 Co 1.83
N  0.0508  0.6143  0.8535  1 Co 1.83
N  0.1275  0.2578  0.7089  1 Co 1.85
N  0.1275  0.7422  0.2089  1 Co 1.85
N  0.1665  0.0927  0.9976  6 Ca 2.39-2.51
N  0.1665  0.9073  0.4976  6 Ca 2.39-2.51
N  0.3335  0.4073  0.4976  6 Ca 2.39-2.51
N  0.3335  0.5927  0.9976  6 Ca 2.39-2.51
N  0.3725  0.2422  0.2089  1 Co 1.85
N  0.3725  0.7578  0.7089  1 Co 1.85
N  0.4492  0.1143  0.8535  1 Co 1.83
N  0.4492  0.8857  0.3535  1 Co 1.83
N  0.5508  0.1143  0.6465  1 Co 1.83
N  0.5508  0.8857  0.1465  1 Co 1.83
N  0.6275  0.2422  0.2911  1 Co 1.85
N  0.6275  0.7578  0.7911  1 Co 1.85
N  0.6665  0.4073  0.0024  6 Ca 2.39-2.51
N  0.6665  0.5927  0.5024  6 Ca 2.39-2.51
N  0.8335  0.0927  0.5024  6 Ca 2.39-2.51
N  0.8335  0.9073  0.0024  6 Ca 2.39-2.51
N  0.8725  0.2578  0.7911  1 Co 1.85
N  0.8725  0.7422  0.2911  1 Co 1.85
N  0.9492  0.3857  0.1465  1 Co 1.83
N  0.9492  0.6143  0.6465  1 Co 1.83

# Ca2Co12P7

A relaxed Ca2Co12P7 crystal (PBE, the Materials Project database).

Properties
crystal system: hexagonal
SG: P-6, No. 174
energy of formation: -0.704 eV per atom
total magnetization: 3.0 Bohr magnetons per cell

abc: 9.0314 9.0314 3.5619
angles: 90.00 90.00 120.00
With the nearest neighbours (Å) after each atom.
Atoms (fractional coordinates):
Ca  0.0000  0.0000  0.0000  6 P 2.86, 12 Co 2.95-3.18
Ca  0.3333  0.6667  0.5000  6 P 2.83, 9 Co 2.92-3.12
Co  0.0492  0.7678  0.5000  4 P 2.26-2.33
Co  0.1012  0.3915  0.0000  4 P 2.26-2.28, 1 Co 2.51
Co  0.2322  0.2814  0.5000  4 P 2.26-2.33
Co  0.2903  0.8988  0.0000  4 P 2.26-2.28, 1 Co 2.51
Co  0.3949  0.2139  0.0000  4 P 2.13-2.27
Co  0.5349  0.0984  0.5000  3 P 2.22-2.41
Co  0.5636  0.4651  0.5000  3 P 2.22-2.41
Co  0.6085  0.7097  0.0000  4 P 2.26-2.28, 1 Co 2.51
Co  0.7186  0.9508  0.5000  4 P 2.26-2.33
Co  0.7861  0.1810  0.0000  4 P 2.13-2.27
Co  0.8190  0.6051  0.0000  4 P 2.13-2.27
Co  0.9016  0.4364  0.5000  3 P 2.22-2.41
P  0.0712  0.6254  0.0000  7 Co 2.19-2.41
P  0.2654  0.0417  0.5000  7 Co 2.22-2.33
P  0.3746  0.4459  0.0000  7 Co 2.19-2.41
P  0.5541  0.9288  0.0000  7 Co 2.19-2.41
P  0.6667  0.3333  0.0000  3 Co 2.13
P  0.7764  0.7346  0.5000  7 Co 2.22-2.33
P  0.9583  0.2236  0.5000  7 Co 2.22-2.33

# CaCo2S4

A relaxed CaCo2S4 crystal (PBE, the Materials Project database).

Properties
MP2020-corrected energy: -5.65 eV per atom
crystal system: cubic
SG: Fd-3m, No. 227
energy of formation: -0.968 eV per atom
total magnetization: 0.0 Bohr magnetons per cell

abc: 7.1670 7.1670 7.1670
angles: 60.00 60.00 60.00
With the nearest neighbours (Å) after each atom.
Atoms (fractional coordinates):
Ca  0.1250  0.1250  0.1250  4 S 2.61
Ca  0.8750  0.8750  0.8750  4 S 2.61
Co  0.0000  0.5000  0.5000  6 S 2.32
Co  0.5000  0.0000  0.5000  6 S 2.32
Co  0.5000  0.5000  0.0000  6 S 2.32
Co  0.5000  0.5000  0.5000  6 S 2.32
S  0.2739  0.2739  0.2739  3 Co 2.32
S  0.2739  0.2739  0.6783  3 Co 2.32
S  0.2739  0.6783  0.2739  3 Co 2.32
S  0.3217  0.7261  0.7261  3 Co 2.32
S  0.6783  0.2739  0.2739  3 Co 2.32
S  0.7261  0.3217  0.7261  3 Co 2.32
S  0.7261  0.7261  0.3217  3 Co 2.32
S  0.7261  0.7261  0.7261  3 Co 2.32

# CaCo2S5

A relaxed CaCo2S5 crystal (PBE, the Materials Project database).

Properties
MP2020-corrected energy: -5.42 eV per atom
crystal system: orthorhombic
SG: Pmmn, No. 59
energy of formation: -0.811 eV per atom
total magnetization: 0.3 Bohr magnetons per cell

abc: 4.1923 13.1187 5.8440
angles: 90.00 90.00 90.00
With the nearest neighbours (Å) after each atom.
Atoms (fractional coordinates):
Ca  0.2500  0.2500  0.1192  8 S 2.82-3.14
Ca  0.7500  0.7500  0.8808  8 S 2.82-3.14
Co  0.2500  0.5960  0.4086  5 S 2.10-2.24
Co  0.2500  0.9040  0.4086  5 S 2.10-2.24
Co  0.7500  0.0960  0.5914  5 S 2.10-2.24
Co  0.7500  0.4040  0.5914  5 S 2.10-2.24
S  0.2500  0.0689  0.4701  3 Co 2.19-2.24
S  0.2500  0.4311  0.4701  3 Co 2.19-2.24
S  0.2500  0.6292  0.0567  1 Co 2.10
S  0.2500  0.7500  0.5448  2 Co 2.17
S  0.2500  0.8708  0.0567  1 Co 2.10
S  0.7500  0.1292  0.9433  1 Co 2.10
S  0.7500  0.2500  0.4552  2 Co 2.17
S  0.7500  0.3708  0.9433  1 Co 2.10
S  0.7500  0.5689  0.5299  3 Co 2.19-2.24
S  0.7500  0.9311  0.5299  3 Co 2.19-2.24

# CaCo2S4

A relaxed CaCo2S4 crystal (PBE, the Materials Project database).

Properties
MP2020-corrected energy: -5.65 eV per atom
crystal system: tetragonal
SG: I4_1/amd, No. 141
energy of formation: -0.967 eV per atom
total magnetization: 0.0 Bohr magnetons per cell

abc: 7.2111 7.2111 7.2111
angles: 121.33 121.33 87.70
With the nearest neighbours (Å) after each atom.
Atoms (fractional coordinates):
Ca  0.3750  0.6250  0.7500  4 S 2.61
Ca  0.6250  0.3750  0.2500  4 S 2.61
Co  0.0000  0.0000  0.0000  6 S 2.31-2.32
Co  0.0000  0.0000  0.5000  6 S 2.31-2.32
Co  0.0000  0.5000  0.0000  6 S 2.31-2.32
Co  0.5000  0.0000  0.5000  6 S 2.31-2.32
S  0.1785  0.2215  0.9570  3 Co 2.31-2.32
S  0.2215  0.1785  0.4570  3 Co 2.31-2.32
S  0.2215  0.7644  0.0430  3 Co 2.31-2.32
S  0.2356  0.7785  0.4570  3 Co 2.31-2.32
S  0.7644  0.2215  0.5430  3 Co 2.31-2.32
S  0.7785  0.2356  0.9570  3 Co 2.31-2.32
S  0.7785  0.8215  0.5430  3 Co 2.31-2.32
S  0.8215  0.7785  0.0430  3 Co 2.31-2.32

# CaCoSe2

A relaxed CaCoSe2 crystal (PBE, the Materials Project database).

Properties
MP2020-corrected energy: -4.99 eV per atom
crystal system: tetragonal
SG: P-4m2, No. 115
energy of formation: -0.964 eV per atom
total magnetization: 0.7 Bohr magnetons per cell

abc: 4.4623 4.4623 4.9994
angles: 90.00 90.00 90.00
With the nearest neighbours (Å) after each atom.
Atoms (fractional coordinates):
Ca  0.0000  0.0000  0.0000  4 Se 2.83
Co  0.5000  0.5000  0.5000  4 Se 2.35
Se  0.0000  0.5000  0.6505  2 Co 2.35
Se  0.5000  0.0000  0.3495  2 Co 2.35

Q: Which formula does entry 4 have?
A: Ca2Co12P7